Computed, not measured: a relaxed structure of Na10Hf5Zn3Si6S6O48 at the PBE-GGA level of DFT.

Summary:
Total moment: 0.00 μB/atom
Energy relative to the elements: -2.653 eV per atom
Volume: 3254.40 Å³/cell

Lattice parameters (Å, degrees): 18.1503 9.0682 22.8186 90.19 89.75 119.94
Last column: nearest neighbours and their distance in Å.
Fractional positions:
Na: 0.3185 0.0037 0.2437  4 O 2.35-2.56
Na: 0.1983 0.3722 0.2445  3 O 2.28-2.50
Na: 0.6907 0.3685 0.2436  5 O 2.39-2.60
Na: 0.9966 0.6407 0.2499  3 O 2.39-2.57
Na: 0.3184 0.6140 0.7536  4 O 2.35-2.61
Na: 0.8195 0.6256 0.7474  5 O 2.45-2.70
Na: 0.9926 0.3607 0.7491  4 O 2.40-2.68
Na: 0.4954 0.3737 0.7418  5 O 2.36-2.60
Na: 0.1821 0.0112 0.7462  3 O 2.35-2.55
Na: 0.6869 0.0133 0.7482  4 O 2.40-2.63
Na: 0.6466 0.3500 0.5763  4 O 2.25-2.45
Na: 0.3216 0.6828 0.0795  3 O 2.27-2.50
Na: 0.8245 0.6861 0.0868  2 O 2.24-2.45
Na: 0.1642 0.3191 0.9227  5 O 2.39-2.67
Na: 0.9940 0.3082 0.4208  4 O 2.40-2.68
Na: 0.1642 0.0295 0.4191  5 O 2.43-2.69
Na: 0.6607 0.0268 0.4130  2 O 2.28-2.43
Na: 0.8414 0.6678 0.4174  5 O 2.50-2.76
Na: 0.0022 0.0051 0.4999  6 O 2.57-2.66
Na: 0.4923 0.0115 0.4936  4 O 2.45-2.72
Na: 0.0072 0.0261 0.9994  4 O 2.40-2.65
Na: 0.5026 0.0243 0.9953  5 O 2.43-2.67
Na: 0.3446 0.3577 0.8331  3 O 2.38-2.54
Na: 0.8387 0.3355 0.8273  4 O 2.47-2.63
Na: 0.3381 0.3640 0.3255  1 O 2.22
Na: 0.8316 0.3319 0.3284  4 O 2.40-2.67
Na: 0.1690 0.6638 0.1564  2 O 2.25-2.48
Na: 0.6642 0.6646 0.1583  3 O 2.33-2.58
Na: 0.1610 0.6587 0.6589  5 O 2.44-2.69
Na: 0.6589 0.6662 0.6591  2 O 2.29-2.55
Hf: 0.0000 0.9921 0.3534  6 O 2.01-2.23
Hf: 0.9995 0.0065 0.8488  4 O 1.95-2.05
Hf: 0.5028 0.9985 0.8563  6 O 1.99-2.20
Hf: 0.0016 0.0022 0.6505  3 O 1.96-1.97
Hf: 0.5024 0.0065 0.6461  5 O 1.98-2.18
Hf: 0.0049 0.9973 0.1472  5 O 1.95-2.17
Hf: 0.5003 0.0030 0.1462  6 O 2.00-2.15
Hf: 0.3341 0.3388 0.9790  6 O 2.00-2.21
Hf: 0.8294 0.3264 0.9814  6 O 1.97-2.18
Hf: 0.3375 0.3376 0.4844  5 O 1.94-2.15
Hf: 0.8326 0.3353 0.4782  6 O 2.00-2.19
Hf: 0.1716 0.6644 0.3160  5 O 1.98-2.13
Hf: 0.6730 0.6707 0.3162  3 O 1.96-2.02
Hf: 0.1589 0.6463 0.8183  4 O 1.95-2.09
Hf: 0.6598 0.6572 0.8125  4 O 1.96-2.09
Zn: 0.4977 0.9990 0.3501  2 O 1.87-1.99
Zn: 0.3428 0.3573 0.6815  4 O 1.94-2.14
Zn: 0.8363 0.3359 0.6916  6 O 2.02-2.24
Zn: 0.3256 0.3488 0.1857  2 O 1.91-2.02
Zn: 0.8272 0.3440 0.1785  2 O 1.90-2.12
Zn: 0.1684 0.6246 0.0128  3 O 1.88-1.97
Zn: 0.6552 0.6235 0.0188  2 O 1.83-1.94
Zn: 0.1580 0.6510 0.5098  2 O 1.91-1.93
Zn: 0.6597 0.6439 0.5127  4 O 1.97-2.09
Si: 0.1502 0.9982 0.2516  4 O 1.62-1.67
Si: 0.3591 0.7123 0.2526  4 O 1.60-1.70
Si: 0.8516 0.7024 0.2478  4 O 1.64-1.66
Si: 0.1504 0.2955 0.7490  4 O 1.62-1.66
Si: 0.6463 0.2902 0.7495  4 O 1.61-1.66
Si: 0.0039 0.7119 0.7504  4 O 1.62-1.66
Si: 0.4985 0.7098 0.7495  4 O 1.61-1.66
Si: 0.8523 0.9972 0.7488  4 O 1.62-1.65
Si: 0.4837 0.3392 0.5868  4 O 1.62-1.69
Si: 0.1834 0.3336 0.0842  4 O 1.62-1.67
Si: 0.6843 0.3373 0.0856  4 O 1.63-1.66
Si: 0.3160 0.6735 0.9192  4 O 1.60-1.68
Si: 0.0132 0.3619 0.9186  4 O 1.59-1.68
Si: 0.5180 0.3697 0.9169  4 O 1.58-1.67
Si: 0.8098 0.9534 0.4214  4 O 1.59-1.67
Si: 0.1695 0.3718 0.4179  4 O 1.60-1.67
Si: 0.6579 0.3569 0.4177  4 O 1.60-1.71
Si: 0.0239 0.6691 0.4176  4 O 1.59-1.66
S: 0.6464 0.9963 0.2505  4 O 1.48-1.50
S: 0.9983 0.2898 0.2501  4 O 1.46-1.51
S: 0.5010 0.2952 0.2504  4 O 1.46-1.52
S: 0.3543 0.9959 0.7510  4 O 1.47-1.50
S: 0.9801 0.3328 0.5842  4 O 1.47-1.51
S: 0.1863 0.0361 0.5839  4 O 1.47-1.52
S: 0.6877 0.0388 0.5843  4 O 1.44-1.53
S: 0.3304 0.6301 0.5842  4 O 1.47-1.51
S: 0.8365 0.6302 0.5849  4 O 1.47-1.52
S: 0.4802 0.6252 0.0856  4 O 1.46-1.53
S: 0.9805 0.6244 0.0841  4 O 1.44-1.54
S: 0.3335 0.0437 0.0864  4 O 1.46-1.55
S: 0.8331 0.0432 0.0848  4 O 1.47-1.52
S: 0.8149 0.6685 0.9186  4 O 1.47-1.51
S: 0.1660 0.9563 0.9183  4 O 1.44-1.51
S: 0.6687 0.9566 0.9191  4 O 1.44-1.51
S: 0.3141 0.9616 0.4196  4 O 1.46-1.53
S: 0.5199 0.6638 0.4176  4 O 1.47-1.51
O: 0.1031 0.0303 0.3080  1 Si 1.65
O: 0.6116 0.0268 0.3049  1 S 1.48
O: 0.4139 0.8140 0.3083  1 Si 1.60
O: 0.9099 0.8010 0.3053  1 Si 1.64
O: 0.4895 0.1953 0.3035  1 S 1.47
O: 0.9884 0.1924 0.3047  1 S 1.49
O: 0.1053 0.1791 0.8075  1 Si 1.65
O: 0.5979 0.1630 0.8035  1 Si 1.61
O: 0.4832 0.8038 0.8046  1 Si 1.61
O: 0.9865 0.8019 0.8065  1 Si 1.63
O: 0.4087 0.0221 0.8025  1 S 1.48
O: 0.9159 0.0343 0.8045  1 Si 1.64
O: 0.3941 0.9678 0.6976  1 S 1.50
O: 0.8973 0.9580 0.6925  1 Si 1.65
O: 0.0827 0.2049 0.6947  1 Si 1.65
O: 0.5853 0.2084 0.6909  1 Si 1.66
O: 0.0211 0.8379 0.6936  1 Si 1.65
O: 0.5129 0.8302 0.6919  1 Si 1.65
O: 0.4007 0.8317 0.1926  1 Si 1.67
O: 0.8963 0.8167 0.1890  1 Si 1.64
O: 0.0109 0.2025 0.1990  1 S 1.49
O: 0.5183 0.2117 0.1984  1 S 1.52
O: 0.0845 0.9686 0.1964  1 Si 1.67
O: 0.5918 0.9814 0.1990  1 S 1.50
O: 0.4390 0.3503 0.6472  1 Si 1.62
O: 0.9371 0.3452 0.6376  1 S 1.48
O: 0.2336 0.1199 0.6377  1 S 1.47
O: 0.7366 0.1235 0.6378  1 S 1.48
O: 0.3180 0.5327 0.6388  1 S 1.48
O: 0.8280 0.5258 0.6372  1 S 1.48
O: 0.4417 0.5212 0.1378  1 S 1.46
O: 0.9442 0.5291 0.1395  1 S 1.49
O: 0.3301 0.1264 0.1412  1 S 1.47
O: 0.8267 0.1284 0.1378  1 S 1.47
O: 0.2393 0.3633 0.1429  1 Si 1.62
O: 0.7385 0.3700 0.1459  1 Si 1.63
O: 0.2314 0.3107 0.0254  1 Si 1.66
O: 0.7362 0.3139 0.0297  1 Si 1.66
O: 0.4257 0.5437 0.0325  1 S 1.51
O: 0.9224 0.5316 0.0338  1 S 1.50
O: 0.3464 0.1523 0.0343  1 S 1.49
O: 0.8455 0.1520 0.0317  1 S 1.51
O: 0.2308 0.1451 0.5304  1 S 1.52
O: 0.7303 0.1509 0.5313  1 S 1.52
O: 0.3411 0.5367 0.5329  1 S 1.51
O: 0.8436 0.5411 0.5306  1 S 1.52
O: 0.4218 0.3179 0.5300  1 Si 1.67
O: 0.9287 0.3177 0.5303  1 S 1.51
O: 0.2799 0.7072 0.9790  1 Si 1.60
O: 0.7779 0.6959 0.9719  1 S 1.47
O: 0.0761 0.4489 0.9721  1 Si 1.59
O: 0.5749 0.4532 0.9729  1 Si 1.58
O: 0.1557 0.8550 0.9693  1 S 1.44
O: 0.6604 0.8570 0.9705  1 S 1.44
O: 0.2730 0.8585 0.4712  1 S 1.46
O: 0.7671 0.8276 0.4754  1 Si 1.59
O: 0.1462 0.4510 0.4729  1 Si 1.60
O: 0.6482 0.4341 0.4783  1 Si 1.60
O: 0.0867 0.7234 0.4722  1 Si 1.59
O: 0.5723 0.6912 0.4695  1 S 1.47
O: 0.0628 0.6289 0.3581  1 Si 1.65
O: 0.5598 0.6368 0.3637  1 S 1.50
O: 0.2598 0.8823 0.3649  1 S 1.53
O: 0.7478 0.8729 0.3625  1 Si 1.67
O: 0.1827 0.4845 0.3576  1 Si 1.66
O: 0.6791 0.4890 0.3606  1 Si 1.68
O: 0.0557 0.4727 0.8565  1 Si 1.68
O: 0.5612 0.4865 0.8569  1 Si 1.67
O: 0.1764 0.8777 0.8625  1 S 1.51
O: 0.6803 0.8813 0.8635  1 S 1.50
O: 0.2539 0.6400 0.8607  1 Si 1.68
O: 0.7627 0.6463 0.8650  1 S 1.50
O: 0.0059 0.8293 0.4100  1 Si 1.65
O: 0.5104 0.8153 0.4111  1 S 1.48
O: 0.4002 0.9901 0.4120  1 S 1.46
O: 0.9063 0.9862 0.4090  1 Si 1.65
O: 0.0826 0.1824 0.4091  1 Si 1.67
O: 0.5830 0.1613 0.4070  1 Si 1.63
O: 0.0101 0.1763 0.9121  1 Si 1.66
O: 0.5087 0.1819 0.9079  1 Si 1.64
O: 0.0916 0.9852 0.9115  1 S 1.51
O: 0.5931 0.9799 0.9127  1 S 1.50
O: 0.4119 0.8310 0.9102  1 Si 1.62
O: 0.9021 0.8163 0.9108  1 S 1.49
O: 0.4925 0.1619 0.5861  1 Si 1.69
O: 0.9862 0.1728 0.5852  1 S 1.51
O: 0.1001 0.0246 0.5846  1 S 1.52
O: 0.6024 0.0340 0.5865  1 S 1.53
O: 0.4112 0.7983 0.5870  1 S 1.50
O: 0.9162 0.7995 0.5860  1 S 1.49
O: 0.4814 0.7951 0.0907  1 S 1.53
O: 0.9781 0.7916 0.0865  1 S 1.54
O: 0.4124 0.0204 0.0885  1 S 1.55
O: 0.9105 0.0211 0.0871  1 S 1.52
O: 0.0873 0.1596 0.0883  1 Si 1.67
O: 0.5902 0.1632 0.0901  1 Si 1.65
O: 0.3432 0.1452 0.7459  1 S 1.47
O: 0.8425 0.1644 0.7443  1 Si 1.62
O: 0.2422 0.3078 0.7417  1 Si 1.62
O: 0.7407 0.3143 0.7439  1 Si 1.62
O: 0.4171 0.5180 0.7485  1 Si 1.63
O: 0.9216 0.5233 0.7449  1 Si 1.62
O: 0.3433 0.5200 0.2490  1 Si 1.62
O: 0.8454 0.5145 0.2480  1 Si 1.65
O: 0.4249 0.3080 0.2400  1 S 1.46
O: 0.9252 0.3153 0.2434  1 S 1.46
O: 0.2460 0.1575 0.2477  1 Si 1.62
O: 0.7330 0.1446 0.2428  1 S 1.48
O: 0.3160 0.4884 0.9227  1 Si 1.68
O: 0.8220 0.5099 0.9235  1 S 1.51
O: 0.4219 0.3459 0.9239  1 Si 1.65
O: 0.9192 0.3445 0.9242  1 Si 1.64
O: 0.2436 0.1323 0.9214  1 S 1.51
O: 0.7458 0.1327 0.9227  1 S 1.51
O: 0.3171 0.1318 0.4238  1 S 1.52
O: 0.8215 0.1463 0.4270  1 Si 1.66
O: 0.2502 0.3378 0.4250  1 Si 1.65
O: 0.7503 0.3511 0.4234  1 Si 1.71
O: 0.4330 0.5077 0.4234  1 S 1.51
O: 0.9285 0.4982 0.4263  1 Si 1.66
O: 0.1781 0.5086 0.0826  1 Si 1.64
O: 0.6833 0.5168 0.0815  1 Si 1.64
O: 0.0668 0.6599 0.0757  1 S 1.44
O: 0.5681 0.6625 0.0780  1 S 1.47
O: 0.2591 0.8733 0.0809  1 S 1.46
O: 0.7578 0.8733 0.0773  1 S 1.47
O: 0.1780 0.8671 0.5777  1 S 1.47
O: 0.6760 0.8705 0.5771  1 S 1.44
O: 0.2569 0.6546 0.5757  1 S 1.47
O: 0.7606 0.6475 0.5811  1 S 1.47
O: 0.0655 0.4846 0.5805  1 S 1.47
O: 0.5802 0.5028 0.5816  1 Si 1.64
O: 0.1514 0.8181 0.2568  1 Si 1.65
O: 0.6488 0.8339 0.2534  1 S 1.50
O: 0.2612 0.6948 0.2560  1 Si 1.70
O: 0.7541 0.6748 0.2543  1 Si 1.66
O: 0.0785 0.4610 0.2538  1 S 1.51
O: 0.5795 0.4674 0.2547  1 S 1.50
O: 0.1596 0.4864 0.7549  1 Si 1.66
O: 0.6554 0.4798 0.7567  1 Si 1.65
O: 0.0931 0.7046 0.7559  1 Si 1.66
O: 0.5876 0.7016 0.7557  1 Si 1.66
O: 0.2691 0.8398 0.7567  1 S 1.49
O: 0.7600 0.8263 0.7588  1 Si 1.63



Computed, not measured: a relaxed structure of NaB5H10O13 at the PBE-GGA level of DFT.

Summary:
Total moment: 0.00 μB/atom
Energy relative to the elements: -2.028 eV per atom
Volume: 1148.63 Å³/cell

Lattice parameters (Å, degrees): 9.9193 9.9193 13.5640 77.82 77.82 111.75
Last column: nearest neighbours and their distance in Å.
Fractional positions:
Na: 0.8446 0.1554 0.7500  6 O 2.40-2.46, 2 H 2.60
Na: 0.1554 0.8446 0.2500  6 O 2.40-2.46, 2 H 2.60
Na: 0.3761 0.6239 0.7500  4 O 2.29-2.32
Na: 0.6239 0.3761 0.2500  4 O 2.29-2.32
B: 0.8306 0.6629 0.8220  4 O 1.48
B: 0.3371 0.1694 0.6780  4 O 1.48
B: 0.1694 0.3371 0.1780  4 O 1.48
B: 0.6629 0.8306 0.3220  4 O 1.48
B: 0.9797 0.6652 0.9508  3 O 1.37-1.40
B: 0.3348 0.0203 0.5492  3 O 1.37-1.40
B: 0.0203 0.3348 0.0492  3 O 1.37-1.40
B: 0.6652 0.9797 0.4508  3 O 1.37-1.40
B: 0.7061 0.5662 0.0192  3 O 1.37-1.39
B: 0.4338 0.2939 0.4808  3 O 1.37-1.39
B: 0.2939 0.4338 0.9808  3 O 1.37-1.39
B: 0.5662 0.7061 0.5192  3 O 1.37-1.39
B: 0.8655 0.6377 0.6403  3 O 1.37-1.41
B: 0.3623 0.1345 0.8597  3 O 1.37-1.41
B: 0.1345 0.3623 0.3597  3 O 1.37-1.41
B: 0.6377 0.8655 0.1403  3 O 1.37-1.41
B: 0.8910 0.8799 0.6635  3 O 1.37-1.40
B: 0.1201 0.1090 0.8365  3 O 1.37-1.40
B: 0.1090 0.1201 0.3365  3 O 1.37-1.40
B: 0.8799 0.8910 0.1635  3 O 1.37-1.40
H: 0.2090 0.7493 0.9071  1 O 1.01
H: 0.2507 0.7910 0.5929  1 O 1.01
H: 0.7910 0.2507 0.0929  1 O 1.01
H: 0.7493 0.2090 0.4071  1 O 1.01
H: 0.4782 0.4742 0.0961  1 O 1.00
H: 0.5258 0.5218 0.4039  1 O 1.00
H: 0.5218 0.5258 0.9039  1 O 1.00
H: 0.4742 0.4782 0.5961  1 O 1.00
H: 0.8157 0.4415 0.5998  1 O 1.01
H: 0.5585 0.1843 0.9002  1 O 1.01
H: 0.1843 0.5585 0.4002  1 O 1.01
H: 0.4415 0.8157 0.0998  1 O 1.01
H: 0.9588 0.0794 0.5467  1 O 0.98
H: 0.9206 0.0412 0.9533  1 O 0.98
H: 0.0412 0.9206 0.4533  1 O 0.98
H: 0.0794 0.9588 0.0467  1 O 0.98
H: 0.7762 0.3842 0.8223  1 O 0.99
H: 0.6158 0.2238 0.6777  1 O 0.99
H: 0.2238 0.6158 0.1777  1 O 0.99
H: 0.3842 0.7762 0.3223  1 O 0.99
H: 0.8011 0.2855 0.9192  1 O 0.99
H: 0.7145 0.1989 0.5808  1 O 0.99
H: 0.1989 0.7145 0.0808  1 O 0.99
H: 0.2855 0.8011 0.4192  1 O 0.99
H: 0.1012 0.3937 0.5648  1 O 1.00
H: 0.6063 0.8988 0.9352  1 O 1.00
H: 0.8988 0.6063 0.4352  1 O 1.00
H: 0.3937 0.1012 0.0648  1 O 1.00
H: 0.1393 0.3100 0.6613  1 O 0.99
H: 0.6900 0.8607 0.8387  1 O 0.99
H: 0.8607 0.6900 0.3387  1 O 0.99
H: 0.3100 0.1393 0.1613  1 O 0.99
H: 0.0931 0.6351 0.7506  1 O 0.99
H: 0.3649 0.9069 0.7494  1 O 0.99
H: 0.9069 0.3649 0.2494  1 O 0.99
H: 0.6351 0.0931 0.2506  1 O 0.99
H: 0.1266 0.5322 0.6777  1 O 1.01
H: 0.4678 0.8734 0.8223  1 O 1.01
H: 0.8734 0.4678 0.3223  1 O 1.01
H: 0.5322 0.1266 0.1777  1 O 1.01
O: 0.1158 0.7015 0.9722  1 H 1.01
O: 0.2985 0.8842 0.5278  1 H 1.01
O: 0.8842 0.2985 0.0278  1 H 1.01
O: 0.7015 0.1158 0.4722  1 H 1.01
O: 0.8468 0.6102 0.0369  2 B 1.39-1.40
O: 0.3898 0.1532 0.4631  2 B 1.39-1.40
O: 0.1532 0.3898 0.9631  2 B 1.39-1.40
O: 0.6102 0.8468 0.5369  2 B 1.39-1.40
O: 0.5801 0.5035 0.1082  1 H 1.00
O: 0.4965 0.4199 0.3918  1 H 1.00
O: 0.4199 0.4965 0.8918  1 H 1.00
O: 0.5035 0.5801 0.6082  1 H 1.00
O: 0.9725 0.6822 0.8492  2 B 1.37-1.48
O: 0.3178 0.0275 0.6508  2 B 1.37-1.48
O: 0.0275 0.3178 0.1508  2 B 1.37-1.48
O: 0.6822 0.9725 0.3492  2 B 1.37-1.48
O: 0.6945 0.5824 0.9188  2 B 1.37-1.48
O: 0.4176 0.3055 0.5812  2 B 1.37-1.48
O: 0.3055 0.4176 0.0812  2 B 1.37-1.48
O: 0.5824 0.6945 0.4188  2 B 1.37-1.48
O: 0.8162 0.5706 0.7484  2 B 1.37-1.48
O: 0.4294 0.1838 0.7516  2 B 1.37-1.48
O: 0.1838 0.4294 0.2516  2 B 1.37-1.48
O: 0.5706 0.8162 0.2484  2 B 1.37-1.48
O: 0.8355 0.8123 0.7713  2 B 1.37-1.48
O: 0.1877 0.1645 0.7287  2 B 1.37-1.48
O: 0.1645 0.1877 0.2287  2 B 1.37-1.48
O: 0.8123 0.8355 0.2713  2 B 1.37-1.48
O: 0.8654 0.5567 0.5703  1 H 1.01
O: 0.4433 0.1346 0.9297  1 H 1.01
O: 0.1346 0.4433 0.4297  1 H 1.01
O: 0.5567 0.8654 0.0703  1 H 1.01
O: 0.9192 0.7973 0.5958  2 B 1.40-1.41
O: 0.2027 0.0808 0.9042  2 B 1.40-1.41
O: 0.0808 0.2027 0.4042  2 B 1.40-1.41
O: 0.7973 0.9192 0.0958  2 B 1.40-1.41
O: 0.9143 0.0285 0.6241  1 H 0.98
O: 0.9715 0.0857 0.8759  1 H 0.98
O: 0.0857 0.9715 0.3759  1 H 0.98
O: 0.0285 0.9143 0.1241  1 H 0.98
O: 0.7503 0.2776 0.8637  2 H 0.99
O: 0.7224 0.2497 0.6363  2 H 0.99
O: 0.2497 0.7224 0.1363  2 H 0.99
O: 0.2776 0.7503 0.3637  2 H 0.99
O: 0.0846 0.3724 0.6426  2 H 0.99-1.00
O: 0.6276 0.9154 0.8574  2 H 0.99-1.00
O: 0.9154 0.6276 0.3574  2 H 0.99-1.00
O: 0.3724 0.0846 0.1426  2 H 0.99-1.00
O: 0.1716 0.6300 0.6947  2 H 0.99-1.01
O: 0.3700 0.8284 0.8053  2 H 0.99-1.01
O: 0.8284 0.3700 0.3053  2 H 0.99-1.01
O: 0.6300 0.1716 0.1947  2 H 0.99-1.01



Computed, not measured: a relaxed structure of Na2AgSbF6 at the PBE-GGA level of DFT.

Summary:
Total moment: 0.00 μB/atom
Energy relative to the elements: -2.302 eV per atom
Volume: 191.05 Å³/cell

Lattice parameters (Å, degrees): 6.4648 6.4648 6.4648 60.00 60.00 60.00
Last column: nearest neighbours and their distance in Å.
Fractional positions:
Na: 0.7500 0.7500 0.7500  12 F 3.23
Na: 0.2500 0.2500 0.2500  12 F 3.23
Ag: 0.5000 0.5000 0.5000  6 F 2.40
Sb: 0.0000 0.0000 0.0000  6 F 2.17
F: 0.7622 0.2378 0.2378  1 Sb 2.17, 1 Ag 2.40
F: 0.2378 0.2378 0.7622  1 Sb 2.17, 1 Ag 2.40
F: 0.2378 0.7622 0.7622  1 Sb 2.17, 1 Ag 2.40
F: 0.2378 0.7622 0.2378  1 Sb 2.17, 1 Ag 2.40
F: 0.7622 0.2378 0.7622  1 Sb 2.17, 1 Ag 2.40
F: 0.7622 0.7622 0.2378  1 Sb 2.17, 1 Ag 2.40



Computed, not measured: a relaxed structure of NdSiPd2 at the PBE-GGA level of DFT.

Summary:
Energy relative to the elements: -0.915 eV per atom
Volume: 302.33 Å³/cell

Lattice parameters (Å, degrees): 5.7124 6.9832 7.5789 90.00 90.00 90.00
Last column: nearest neighbours and their distance in Å.
Fractional positions:
Nd: 0.1447 0.7500 0.5286  8 Pd 3.01-3.31, 3 Si 3.08-3.10
Nd: 0.8553 0.2500 0.4714  8 Pd 3.01-3.31, 3 Si 3.08-3.10
Nd: 0.6447 0.2500 0.9714  8 Pd 3.01-3.31, 3 Si 3.08-3.10
Nd: 0.3553 0.7500 0.0286  8 Pd 3.01-3.31, 3 Si 3.08-3.10
Si: 0.8528 0.7500 0.8729  6 Pd 2.53-2.69
Si: 0.1472 0.2500 0.1271  6 Pd 2.53-2.69
Si: 0.3528 0.2500 0.6271  6 Pd 2.53-2.69
Si: 0.6472 0.7500 0.3729  6 Pd 2.53-2.69
Pd: 0.5923 0.5526 0.6743  3 Si 2.53-2.69, 1 Pd 2.76
Pd: 0.4077 0.4474 0.3257  3 Si 2.53-2.69, 1 Pd 2.76
Pd: 0.0923 0.4474 0.8257  3 Si 2.53-2.69, 1 Pd 2.76
Pd: 0.4077 0.0526 0.3257  3 Si 2.53-2.69, 1 Pd 2.76
Pd: 0.9077 0.5526 0.1743  3 Si 2.53-2.69, 1 Pd 2.76
Pd: 0.5923 0.9474 0.6743  3 Si 2.53-2.69, 1 Pd 2.76
Pd: 0.9077 0.9474 0.1743  3 Si 2.53-2.69, 1 Pd 2.76
Pd: 0.0923 0.0526 0.8257  3 Si 2.53-2.69, 1 Pd 2.76